<1>
The following is a GGA-PBE calculation of a relaxed CaB2H8 crystal, from the Materials Project database.

## Properties
Its density is 1.09 g/cm³. Its spin magnetization is 0.00 μB/cell. For the calculated volume, the calculation gives 212 Å³ per cell.

```
data_CaB2H8
_symmetry_space_group_name_H-M 'P 42/m'
_symmetry_Int_Tables_number 84
_cell_length_a 6.9789
_cell_length_b 6.9789
_cell_length_c 4.3620
_cell_angle_alpha 90.00
_cell_angle_beta 90.00
_cell_angle_gamma 90.00
loop_
_symmetry_equiv_pos_as_xyz
'x,y,z'
'-x,-y,-z'
'-y,x,z+1/2'
'y,-x,-z+1/2'
'-x,-y,z'
'x,y,-z'
'y,-x,z+1/2'
'-y,x,-z+1/2'
loop_
_atom_site_label
_atom_site_type_symbol
_atom_site_fract_x
_atom_site_fract_y
_atom_site_fract_z
_atom_site_occupancy
Ca1 Ca 0.0000 0.5000 0.0000 1
B1 B 0.1836 0.7016 0.5000 1
H1 H 0.0099 0.6714 0.5000 1
H2 H 0.1232 0.1951 0.0000 1
H3 H 0.2611 0.6336 0.2731 1
```

***

<2>
The following is a GGA-PBE calculation of a relaxed CaB2H8 crystal, from the Materials Project database.

## Properties
Its density is 1.06 g/cm³. Its spin magnetization is 0.00 μB/cell. For the calculated volume, the calculation gives 877 Å³ per cell.

```
data_CaB2H8
_symmetry_space_group_name_H-M 'F d d 2'
_symmetry_Int_Tables_number 43
_symmetry_space_group_name_Hall 'F 2 -2d'
_cell_length_a 7.6815
_cell_length_b 13.1081
_cell_length_c 8.7069
_cell_angle_alpha 90.00
_cell_angle_beta 90.00
_cell_angle_gamma 90.00
loop_
_atom_site_label
_atom_site_type_symbol
_atom_site_fract_x
_atom_site_fract_y
_atom_site_fract_z
_atom_site_occupancy
Ca1 Ca 0.0000 0.0000 0.0000 1
B1 B 0.0072 0.2790 0.5011 1
H1 H 0.0158 0.2436 0.6316 1
H2 H 0.0192 0.2078 0.4114 1
H3 H 0.1173 0.0866 0.2410 1
H4 H 0.1201 0.4261 0.2245 1
```

***

Most stable: <2>. Least stable: <1>.

***

<1>
The following is a GGA-PBE calculation of a relaxed CaB2H8 crystal, from the Materials Project database.

## Properties
Its density is 1.09 g/cm³. Its spin magnetization is 0.00 μB/cell. For the calculated volume, the calculation gives 213 Å³ per cell.

```
data_CaB2H8
_symmetry_space_group_name_H-M 'P -4'
_symmetry_Int_Tables_number 81
_cell_length_a 6.9926
_cell_length_b 6.9926
_cell_length_c 4.3505
_cell_angle_alpha 90.00
_cell_angle_beta 90.00
_cell_angle_gamma 90.00
loop_
_symmetry_equiv_pos_as_xyz
'x,y,z'
'y,-x,-z'
'-x,-y,z'
'-y,x,-z'
loop_
_atom_site_label
_atom_site_type_symbol
_atom_site_fract_x
_atom_site_fract_y
_atom_site_fract_z
_atom_site_occupancy
Ca1 Ca 0.0000 0.5000 0.2471 1
B1 B 0.1851 0.7001 0.7472 1
H1 H 0.0116 0.6708 0.7454 1
H2 H 0.1255 0.1976 0.2400 1
H3 H 0.2624 0.6251 0.9689 1
H4 H 0.2617 0.6380 0.5149 1
```

***

<2>
The following is a GGA-PBE calculation of a relaxed CaB2H8 crystal, from the Materials Project database.

## Properties
Its density is 1.00 g/cm³. Its spin magnetization is 0.00 μB/cell. For the calculated volume, the calculation gives 463 Å³ per cell.

```
data_CaB2H8
_symmetry_space_group_name_H-M 'I -4 2 d'
_symmetry_Int_Tables_number 122
_symmetry_space_group_name_Hall 'I -4 2bw'
_cell_length_a 5.9417
_cell_length_b 5.9417
_cell_length_c 13.1259
_cell_angle_alpha 90.00
_cell_angle_beta 90.00
_cell_angle_gamma 90.00
loop_
_atom_site_label
_atom_site_type_symbol
_atom_site_fract_x
_atom_site_fract_y
_atom_site_fract_z
_atom_site_occupancy
Ca1 Ca 0.0000 0.0000 0.0000 1
B1 B 0.0000 0.0000 0.2198 1
H1 H 0.0957 0.1414 0.8323 1
H2 H 0.1036 0.1294 0.2752 1
```

***

Most stable: <1>. Least stable: <2>.

***

<1>
The following is a GGA-PBE calculation of a relaxed CaBHO3 crystal, from the Materials Project database.

## Properties
Its density is 2.52 g/cm³. Its spin magnetization is 0.00 μB/cell. For the calculated volume, the calculation gives 263 Å³ per cell.

```
data_CaBHO3
_symmetry_space_group_name_H-M 'P 1 21/c 1'
_symmetry_Int_Tables_number 14
_cell_length_a 3.5982
_cell_length_b 9.5859
_cell_length_c 8.1817
_cell_angle_alpha 90.00
_cell_angle_beta 111.33
_cell_angle_gamma 90.00
loop_
_symmetry_equiv_pos_as_xyz
'x,y,z'
'-x,-y,-z'
'-x,y+1/2,-z+1/2'
'x,-y+1/2,z+1/2'
loop_
_atom_site_label
_atom_site_type_symbol
_atom_site_fract_x
_atom_site_fract_y
_atom_site_fract_z
_atom_site_occupancy
Ca1 Ca 0.0819 0.0073 0.2911 1
B1 B 0.2970 0.2359 0.0780 1
H1 H 0.1928 0.7360 0.6439 1
O1 O 0.0058 0.1659 0.9352 1
O2 O 0.3142 0.1204 0.5754 1
O3 O 0.4718 0.6546 0.2857 1
```

***

<2>
The following is a GGA-PBE calculation of a relaxed CaBHO3 crystal, from the Materials Project database.

## Properties
Its density is 2.47 g/cm³. Its spin magnetization is 0.00 μB/cell. For the calculated volume, the calculation gives 134 Å³ per cell.

```
data_CaBHO3
_symmetry_space_group_name_H-M 'P 1 21 1'
_symmetry_Int_Tables_number 4
_cell_length_a 3.5817
_cell_length_b 5.4581
_cell_length_c 6.8761
_cell_angle_alpha 90.00
_cell_angle_beta 92.31
_cell_angle_gamma 90.00
loop_
_symmetry_equiv_pos_as_xyz
'x,y,z'
'-x,y+1/2,-z'
loop_
_atom_site_label
_atom_site_type_symbol
_atom_site_fract_x
_atom_site_fract_y
_atom_site_fract_z
_atom_site_occupancy
Ca1 Ca 0.2483 0.0000 0.1421 1
B1 B 0.2741 0.0047 0.7278 1
H1 H 0.4578 0.1815 0.5023 1
O1 O 0.2385 0.7814 0.8136 1
O2 O 0.2453 0.2194 0.8300 1
O3 O 0.3710 0.0142 0.5283 1
```

***

Most stable: <1>. Least stable: <2>.

***

<1>
The following is a GGA-PBE calculation of a relaxed CaMgB6O17 crystal, from the Materials Project database.

## Properties
Its density is 2.10 g/cm³. Its spin magnetization is 20.00 μB/cell. For the calculated volume, the calculation gives 635 Å³ per cell.

```
data_CaMgB6O17
_symmetry_space_group_name_H-M 'P 1 2/c 1'
_symmetry_Int_Tables_number 13
_cell_length_a 12.3729
_cell_length_b 6.1264
_cell_length_c 8.4150
_cell_angle_alpha 90.00
_cell_angle_beta 95.66
_cell_angle_gamma 90.00
loop_
_symmetry_equiv_pos_as_xyz
'x,y,z'
'-x,-y,-z'
'-x,y,-z+1/2'
'x,-y,z+1/2'
loop_
_atom_site_label
_atom_site_type_symbol
_atom_site_fract_x
_atom_site_fract_y
_atom_site_fract_z
_atom_site_occupancy
Ca1 Ca 0.0000 0.0705 0.2500 1
Mg1 Mg 0.5000 0.5000 0.0000 1
B1 B 0.1129 0.2505 0.5499 1
B2 B 0.2643 0.0034 0.1448 1
B3 B 0.2822 0.2224 0.3995 1
O1 O 0.9996 0.1967 0.5298 1
O2 O 0.1251 0.4827 0.5898 1
O3 O 0.1626 0.2552 0.3976 1
O4 O 0.1692 0.1049 0.6718 1
O5 O 0.3076 0.1646 0.2410 1
O6 O 0.3194 0.0480 0.5137 1
O7 O 0.3451 0.4028 0.4705 1
O8 O 0.4770 0.1515 0.8119 1
O9 O 0.5000 0.4184 0.2500 1
```

***

<2>
The following is a GGA-PBE calculation of a relaxed CaMgB6O17 crystal, from the Materials Project database.

## Properties
Its density is 2.26 g/cm³. Its spin magnetization is 8.00 μB/cell. For the calculated volume, the calculation gives 590 Å³ per cell.

```
data_CaMgB6O17
_symmetry_space_group_name_H-M 'P 1 2/c 1'
_symmetry_Int_Tables_number 13
_cell_length_a 11.4073
_cell_length_b 6.4807
_cell_length_c 8.1171
_cell_angle_alpha 90.00
_cell_angle_beta 100.62
_cell_angle_gamma 90.00
loop_
_symmetry_equiv_pos_as_xyz
'x,y,z'
'-x,-y,-z'
'-x,y,-z+1/2'
'x,-y,z+1/2'
loop_
_atom_site_label
_atom_site_type_symbol
_atom_site_fract_x
_atom_site_fract_y
_atom_site_fract_z
_atom_site_occupancy
Ca1 Ca 0.0000 0.2345 0.2500 1
Mg1 Mg 0.5000 0.0000 0.0000 1
B1 B 0.0994 0.2942 0.9208 1
B2 B 0.2632 0.4692 0.4006 1
B3 B 0.2908 0.2772 0.1404 1
O1 O 0.0095 0.3944 0.5162 1
O2 O 0.0437 0.1083 0.8310 1
O3 O 0.1507 0.4478 0.8296 1
O4 O 0.1660 0.2077 0.0715 1
O5 O 0.3091 0.3102 0.3211 1
O6 O 0.3210 0.4591 0.0510 1
O7 O 0.3671 0.1008 0.1040 1
O8 O 0.4817 0.3481 0.8168 1
O9 O 0.5000 0.0518 0.2500 1
```

***

Most stable: <2>. Least stable: <1>.

***

<1>
The following is a GGA-PBE calculation of a relaxed CaB3O10 crystal, from the Materials Project database.

## Properties
Its density is 2.30 g/cm³. Its spin magnetization is 4.00 μB/cell. For the calculated volume, the calculation gives 336 Å³ per cell.

```
data_CaB3O10
_symmetry_space_group_name_H-M 'P -1'
_symmetry_Int_Tables_number 2
_cell_length_a 5.7492
_cell_length_b 6.4545
_cell_length_c 9.7420
_cell_angle_alpha 76.18
_cell_angle_beta 73.57
_cell_angle_gamma 83.16
loop_
_symmetry_equiv_pos_as_xyz
'x,y,z'
'-x,-y,-z'
loop_
_atom_site_label
_atom_site_type_symbol
_atom_site_fract_x
_atom_site_fract_y
_atom_site_fract_z
_atom_site_occupancy
Ca1 Ca 0.2363 0.1742 0.1225 1
B1 B 0.2300 0.6762 0.1346 1
B2 B 0.3295 0.4807 0.3601 1
B3 B 0.4449 0.1896 0.7771 1
O1 O 0.0141 0.8282 0.1684 1
O2 O 0.0238 0.0782 0.4501 1
O3 O 0.1886 0.2300 0.8699 1
O4 O 0.1957 0.7141 0.8803 1
O5 O 0.2287 0.5810 0.0021 1
O6 O 0.2306 0.4785 0.2430 1
O7 O 0.2700 0.3207 0.4820 1
O8 O 0.4323 0.8028 0.1021 1
O9 O 0.4757 0.6405 0.3502 1
O10 O 0.4856 0.9838 0.7462 1
```

***

<2>
The following is a GGA-PBE calculation of a relaxed CaB3O10 crystal, from the Materials Project database.

## Properties
Its density is 1.74 g/cm³. Its spin magnetization is 10.00 μB/cell. For the calculated volume, the calculation gives 443 Å³ per cell.

```
data_CaB3O10
_symmetry_space_group_name_H-M 'P -1'
_symmetry_Int_Tables_number 2
_cell_length_a 6.2987
_cell_length_b 8.0352
_cell_length_c 9.4886
_cell_angle_alpha 96.82
_cell_angle_beta 101.05
_cell_angle_gamma 107.04
loop_
_symmetry_equiv_pos_as_xyz
'x,y,z'
'-x,-y,-z'
loop_
_atom_site_label
_atom_site_type_symbol
_atom_site_fract_x
_atom_site_fract_y
_atom_site_fract_z
_atom_site_occupancy
Ca1 Ca 0.1606 0.2184 0.1081 1
B1 B 0.0494 0.1922 0.7966 1
B2 B 0.1232 0.2928 0.5788 1
B3 B 0.2158 0.5209 0.8033 1
O1 O 0.0173 0.9345 0.1264 1
O2 O 0.0199 0.1576 0.6453 1
O3 O 0.0900 0.6387 0.8344 1
O4 O 0.1615 0.3667 0.8758 1
O5 O 0.1728 0.2500 0.4469 1
O6 O 0.1879 0.4677 0.6458 1
O7 O 0.3924 0.7235 0.2386 1
O8 O 0.4380 0.6510 0.8669 1
O9 O 0.4595 0.4406 0.4465 1
O10 O 0.4837 0.8631 0.2001 1
```

***

<3>
The following is a GGA-PBE calculation of a relaxed CaB3O10 crystal, from the Materials Project database.

## Properties
Its density is 1.93 g/cm³. Its spin magnetization is 8.00 μB/cell. For the calculated volume, the calculation gives 401 Å³ per cell.

```
data_CaB3O10
_symmetry_space_group_name_H-M 'P -1'
_symmetry_Int_Tables_number 2
_cell_length_a 6.2440
_cell_length_b 7.2456
_cell_length_c 9.6744
_cell_angle_alpha 108.02
_cell_angle_beta 95.19
_cell_angle_gamma 102.16
loop_
_symmetry_equiv_pos_as_xyz
'x,y,z'
'-x,-y,-z'
loop_
_atom_site_label
_atom_site_type_symbol
_atom_site_fract_x
_atom_site_fract_y
_atom_site_fract_z
_atom_site_occupancy
Ca1 Ca 0.2025 0.1729 0.3856 1
B1 B 0.1151 0.5444 0.2914 1
B2 B 0.2451 0.5307 0.8981 1
B3 B 0.3060 0.1822 0.7398 1
O1 O 0.0521 0.5498 0.8269 1
O2 O 0.0813 0.8581 0.4274 1
O3 O 0.0835 0.0446 0.0463 1
O4 O 0.1752 0.7688 0.3140 1
O5 O 0.2069 0.9901 0.7323 1
O6 O 0.2195 0.4780 0.3795 1
O7 O 0.3024 0.3491 0.8593 1
O8 O 0.3606 0.6921 0.0106 1
O9 O 0.3780 0.1942 0.6146 1
O10 O 0.4395 0.7701 0.7083 1
```

***

Most stable: <2>. Least stable: <3>.